[1]
# NaMg6SiO8 (PBE-GGA, relaxed)
data_NaMg6SiO8
_chemical_formula_sum 'Na1 Mg6 Si1 O8'
_cell_length_a 4.343
_cell_length_b 4.343
_cell_length_c 8.443
_cell_angle_alpha 90.00
_cell_angle_beta 90.00
_cell_angle_gamma 90.00
_symmetry_space_group_name_H-M 'P 4/m m m'
_symmetry_Int_Tables_number 123
_symmetry_space_group_name_Hall '-P 4 2'
loop_
_atom_site_label
_atom_site_type_symbol
_atom_site_fract_x
_atom_site_fract_y
_atom_site_fract_z
Na1 Na 0.000 0.000 0.000
Mg1 Mg 0.000 0.500 0.241
Mg2 Mg 0.500 0.500 0.000
Mg3 Mg 0.500 0.500 0.500
Si1 Si 0.000 0.000 0.500
O1 O 0.000 0.000 0.282
O2 O 0.000 0.500 0.000
O3 O 0.000 0.500 0.500
O4 O 0.500 0.500 0.253
# Magnetization (μB/atom): 0.01
# E above lowest polymorph (kJ per mole of atoms): 0.0
# Formation enthalpy at 0 K (eV/f.u.): -42.97

[2]
# Na2MgSi5O12 (PBE-GGA, relaxed)
data_Na2MgSi5O12
_chemical_formula_sum 'Na16 Mg8 Si40 O96'
_cell_length_a 11.543
_cell_length_b 11.543
_cell_length_c 11.504
_cell_angle_alpha 90.00
_cell_angle_beta 90.00
_cell_angle_gamma 90.00
_symmetry_space_group_name_H-M 'I 41/a c d'
_symmetry_Int_Tables_number 142
loop_
_symmetry_equiv_pos_as_xyz
'x,y,z'
'-x,-y,-z'
'-y+1/4,x+3/4,z+1/4'
'y+1/4,-x+3/4,-z+1/4'
'-x+1/2,-y,z+1/2'
'x+1/2,y,-z+1/2'
'y+1/4,-x+1/4,z+3/4'
'-y+1/4,x+1/4,-z+3/4'
'x,-y,-z+1/2'
'-x,y,z+1/2'
'-y+1/4,-x+1/4,-z+1/4'
'y+1/4,x+1/4,z+1/4'
'-x+1/2,y,-z'
'x+1/2,-y,z'
'y+1/4,x+3/4,-z+3/4'
'-y+1/4,-x+3/4,z+3/4'
'x+1/2,y+1/2,z+1/2'
'-x+1/2,-y+1/2,-z+1/2'
'-y+3/4,x+1/4,z+3/4'
'y+3/4,-x+1/4,-z+3/4'
'-x,-y+1/2,z'
'x,y+1/2,-z'
'y+3/4,-x+3/4,z+1/4'
'-y+3/4,x+3/4,-z+1/4'
'x+1/2,-y+1/2,-z'
'-x+1/2,y+1/2,z'
'-y+3/4,-x+3/4,-z+3/4'
'y+3/4,x+3/4,z+3/4'
'-x,y+1/2,-z+1/2'
'x,-y+1/2,z+1/2'
'y+3/4,x+1/4,-z+1/4'
'-y+3/4,-x+1/4,z+1/4'
loop_
_atom_site_label
_atom_site_type_symbol
_atom_site_fract_x
_atom_site_fract_y
_atom_site_fract_z
Na1 Na 0.126 0.000 0.250
Mg1 Mg 0.000 0.250 0.125
Si1 Si 0.000 0.000 0.000
Si2 Si 0.000 0.250 0.375
Si3 Si 0.126 0.000 0.750
O1 O 0.036 0.044 0.646
O2 O 0.040 0.151 0.970
O3 O 0.146 0.038 0.457
# Magnetization (μB/atom): 0.00
# E above lowest polymorph (kJ per mole of atoms): 6.9
# Formation enthalpy at 0 K (eV/f.u.): -59.65

[3]
# NaMg3Si4O12 (PBE-GGA, relaxed)
data_NaMg3Si4O12
_chemical_formula_sum 'Na4 Mg12 Si16 O48'
_cell_length_a 5.286
_cell_length_b 18.430
_cell_length_c 9.880
_cell_angle_alpha 90.00
_cell_angle_beta 102.90
_cell_angle_gamma 90.00
_symmetry_space_group_name_H-M 'P 1 21 1'
_symmetry_Int_Tables_number 4
loop_
_symmetry_equiv_pos_as_xyz
'x,y,z'
'-x,y+1/2,-z'
loop_
_atom_site_label
_atom_site_type_symbol
_atom_site_fract_x
_atom_site_fract_y
_atom_site_fract_z
Na1 Na 0.020 0.000 0.257
Na2 Na 0.444 0.273 0.728
Mg1 Mg 0.012 0.532 0.246
Mg2 Mg 0.013 0.171 0.251
Mg3 Mg 0.013 0.370 0.249
Mg4 Mg 0.487 0.591 0.750
Mg5 Mg 0.487 0.771 0.751
Mg6 Mg 0.487 0.953 0.751
Si1 Si 0.210 0.857 0.472
Si2 Si 0.211 0.689 0.469
Si3 Si 0.233 0.357 0.971
Si4 Si 0.241 0.188 0.968
Si5 Si 0.268 0.603 0.044
Si6 Si 0.276 0.945 0.040
Si7 Si 0.295 0.105 0.547
Si8 Si 0.297 0.444 0.540
O1 O 0.025 0.643 0.103
O2 O 0.040 0.899 0.093
O3 O 0.091 0.384 0.589
O4 O 0.093 0.166 0.595
O5 O 0.105 0.772 0.817
O6 O 0.127 0.272 0.317
O7 O 0.206 0.948 0.869
O8 O 0.208 0.273 0.910
O9 O 0.210 0.602 0.876
O10 O 0.229 0.448 0.369
O11 O 0.238 0.102 0.379
O12 O 0.241 0.773 0.414
O13 O 0.257 0.033 0.635
O14 O 0.282 0.520 0.615
O15 O 0.283 0.527 0.129
O16 O 0.290 0.862 0.639
O17 O 0.292 0.684 0.636
O18 O 0.304 0.022 0.113
O19 O 0.313 0.361 0.138
O20 O 0.314 0.185 0.135
O21 O 0.405 0.640 0.395
O22 O 0.413 0.905 0.404
O23 O 0.465 0.391 0.905
O24 O 0.472 0.155 0.897
# Magnetization (μB/atom): 0.00
# Formation enthalpy at 0 K (eV/f.u.): -58.71

- Look up the magnetization of the first one.
  0.01 μB/atom

- formation enthalpy at 0 K of number 2 (Na2MgSi5O12)?
  -59.65 eV/f.u.

- What is the formula in the third record?
  NaMg3Si4O12

- The highest magnetization belongs to which entry?
  NaMg6SiO8